No. 1
PBE-GGA Ti6Ge2B, optimized geometry; symmetry = P-62m, No. 189; DFT total energy = -7.655 eV/atom; V = 15.19 Å³/atom; formation enthalpy at 0 K = -0.622 eV/atom
1.0
0.975 5.973 -3.192
-1.228 -5.663 -3.639
-3.310 0.621 0.151
Ti Ge B
6 2 1
Cartesian
-0.939 -4.333 -2.784 Ti
-0.059 0.073 -1.604 Ti
0.746 4.570 -2.442 Ti
-2.137 -1.912 -1.353 Ti
-1.809 0.499 -4.074 Ti
-1.273 2.655 -1.177 Ti
-0.494 -1.784 -3.490 Ge
0.240 2.094 -3.341 Ge
-1.655 0.310 0.075 B

No. 2
PBE-GGA B10H13, optimized geometry; symmetry = Pbca, No. 61; DFT total energy = -4.902 eV/atom; V = 9.38 Å³/atom; formation enthalpy at 0 K = -0.182 eV/atom; magnetic moment = 0.000 μB per cell
1.0
-4.562 0.248 -9.708
6.664 -7.903 -3.333
-9.853 -10.151 4.370
B H
80 104
Cartesian
-1.031 -11.090 -10.850 B
-4.297 -16.256 -5.131 B
-0.063 -10.803 -9.417 B
-4.775 -15.890 -6.777 B
-0.721 -11.773 -8.076 B
-6.247 -16.816 -7.166 B
-2.441 -12.101 -10.401 B
-5.562 -17.274 -4.375 B
3.039 -7.314 -9.977 B
-2.296 -12.367 -8.662 B
4.011 -8.201 -5.913 B
-0.257 -13.312 -2.329 B
-5.300 -15.581 -3.840 B
-2.652 -10.382 -10.873 B
-1.263 -9.473 -10.217 B
-4.900 -14.619 -5.289 B
-3.493 -11.043 -9.453 B
-6.943 -16.199 -4.126 B
-0.377 -9.762 -4.764 B
-3.974 -14.910 0.250 B
-2.888 -9.365 -9.503 B
-6.485 -14.512 -4.489 B
-2.006 -10.225 -4.202 B
-5.456 -15.381 1.125 B
-0.341 -7.985 -4.683 B
-3.979 -13.131 0.245 B
-4.391 -14.078 1.700 B
-1.743 -8.879 -5.333 B
-0.842 -5.025 -9.480 B
-5.111 -10.137 -5.896 B
2.741 -4.379 -3.833 B
-2.595 -9.432 -2.517 B
-3.048 -8.800 -4.103 B
-6.169 -13.974 1.923 B
-6.980 -13.366 -0.805 B
-1.454 -8.323 -1.715 B
-0.930 -7.193 -2.989 B
-5.643 -12.280 -0.349 B
-1.965 -7.401 -4.388 B
-5.232 -12.566 1.331 B
-2.519 -5.239 -10.001 B
-5.785 -10.405 -4.283 B
-2.108 -5.526 -8.322 B
-6.821 -10.613 -5.682 B
-0.771 -4.440 -7.866 B
-6.297 -9.483 -6.956 B
-1.582 -3.832 -10.594 B
-4.703 -9.005 -4.567 B
-5.156 -8.374 -6.153 B
-10.491 -13.427 -4.838 B
-2.640 -7.669 -2.775 B
-6.908 -12.780 0.810 B
-6.008 -8.927 -3.337 B
-3.360 -3.727 -10.371 B
-3.772 -4.675 -8.915 B
-7.410 -9.820 -3.987 B
-2.295 -2.425 -9.796 B
-5.745 -7.581 -4.469 B
-1.265 -3.293 -4.182 B
-4.862 -8.441 0.832 B
-3.777 -2.896 -8.920 B
-7.374 -8.044 -3.906 B
-0.808 -1.607 -4.544 B
-4.258 -6.763 0.782 B
-2.851 -3.187 -3.381 B
-6.488 -8.332 1.546 B
-5.099 -7.424 2.203 B
-2.451 -2.224 -4.830 B
-7.493 -4.494 -6.342 B
-11.762 -9.605 -2.757 B
-10.790 -10.492 1.306 B
-5.455 -5.438 -0.009 B
-2.188 -0.531 -4.296 B
-5.310 -5.705 1.731 B
-7.029 -6.033 -0.594 B
-1.504 -0.990 -1.504 B
-2.975 -1.916 -1.893 B
-7.688 -7.003 0.747 B
-3.454 -1.550 -3.539 B
-6.720 -6.716 2.179 B
5.522 -8.522 -3.763 H
-0.954 -13.514 -4.875 H
2.905 -10.081 -4.364 H
-2.193 -15.148 -2.544 H
2.269 -8.228 -9.998 H
-2.790 -13.296 -8.094 H
2.031 -9.362 -7.051 H
-0.670 -14.559 -0.128 H
-0.418 -10.466 -8.182 H
-5.946 -15.509 -7.277 H
-1.975 -11.535 -7.673 H
-7.352 -16.586 -6.449 H
0.401 -10.450 -5.342 H
-3.046 -15.605 -0.009 H
3.428 -7.214 -5.578 H
-0.869 -12.324 -2.053 H
1.381 -10.346 -2.199 H
-4.837 -15.352 -2.763 H
-0.781 -8.501 -10.718 H
-4.188 -13.659 -5.299 H
-1.665 -9.076 -9.018 H
-6.071 -14.180 -5.727 H
-0.793 -10.458 -3.700 H
-5.072 -15.569 -0.137 H
-4.669 -11.214 -9.341 H
2.069 -6.237 -7.670 H
4.331 -6.339 -2.806 H
-2.408 -11.316 -4.477 H
-3.212 -10.171 -8.485 H
-7.491 -15.281 -4.922 H
0.366 -8.903 -4.039 H
-4.041 -14.007 -0.748 H
0.458 -7.389 -5.343 H
-2.949 -12.547 0.076 H
-8.227 -13.911 -7.061 H
-2.009 -8.906 -6.498 H
0.021 -5.754 -9.868 H
-4.276 -10.864 -6.343 H
-3.528 -8.372 -9.372 H
-6.974 -13.527 -4.039 H
-1.400 -9.636 -1.966 H
-6.778 -14.687 -0.741 H
-5.780 -13.124 -1.365 H
-0.252 -8.082 -2.271 H
-2.797 -6.218 -10.631 H
-5.498 -11.414 -3.709 H
1.727 -5.004 -3.732 H
-3.332 -10.072 -1.828 H
-2.212 -6.594 -7.800 H
-7.309 -11.660 -5.979 H
0.054 -4.618 -7.022 H
-6.422 -9.610 -8.135 H
-7.804 -13.187 -1.648 H
-1.329 -8.196 -0.535 H
-0.442 -6.145 -2.691 H
-5.539 -11.211 -0.870 H
-4.419 -7.734 -6.843 H
-9.477 -12.802 -4.939 H
-2.253 -6.392 -4.962 H
-4.954 -11.588 1.960 H
-1.971 -4.681 -7.305 H
-7.498 -9.724 -6.400 H
-0.973 -3.119 -7.929 H
-6.351 -8.170 -6.704 H
-0.776 -4.278 -4.632 H
-4.223 -9.434 0.702 H
-3.474 -6.942 -2.327 H
-7.771 -12.051 1.198 H
-5.741 -8.900 -2.173 H
0.477 -3.894 -1.609 H
-4.802 -5.259 -8.746 H
-8.209 -10.417 -3.327 H
-3.710 -3.799 -7.922 H
-8.117 -8.903 -4.632 H
-0.260 -2.524 -3.748 H
-4.539 -7.635 -0.185 H
-5.343 -6.490 -4.193 H
-12.081 -11.467 -5.864 H
-9.820 -11.568 -1.001 H
-3.082 -6.591 0.670 H
-2.679 -2.237 -8.533 H
-6.957 -7.348 -4.970 H
-1.679 -3.626 -2.943 H
-6.086 -8.730 0.348 H
-3.563 -4.147 -3.371 H
-6.970 -9.305 2.048 H
-9.132 -7.459 -6.472 H
-2.914 -2.454 -5.908 H
-6.882 -5.482 -6.618 H
-11.179 -10.591 -3.093 H
-4.705 -2.200 -8.662 H
-8.152 -7.356 -3.328 H
-5.776 -6.271 -0.997 H
-0.398 -1.220 -2.222 H
-7.333 -7.340 -0.488 H
-1.805 -2.297 -1.393 H
-7.081 -3.247 -8.542 H
-9.781 -8.444 -1.620 H
-10.020 -9.578 1.327 H
-4.961 -4.510 -0.577 H
-10.656 -7.724 -4.306 H
-5.558 -2.658 -6.127 H
-13.273 -9.283 -4.908 H
-6.797 -4.292 -3.795 H

No. 3
PBE-GGA B7H10, optimized geometry; symmetry = P2_12_12_1, No. 19; DFT total energy = -4.796 eV/atom; V = 9.40 Å³/atom; formation enthalpy at 0 K = -0.155 eV/atom; magnetic moment = 0.000 μB per cell
1.0
9.179 0.000 0.000
0.000 10.278 0.000
0.000 0.000 13.549
B H
56 80
Cartesian
8.823 5.958 13.316 B
4.234 9.459 0.233 B
0.356 0.819 7.008 B
4.945 4.320 6.541 B
7.381 6.836 12.693 B
2.791 8.581 0.857 B
1.798 1.697 7.632 B
6.388 3.442 5.918 B
5.885 6.249 11.658 B
1.295 9.168 1.891 B
3.294 1.110 8.666 B
7.884 4.029 4.884 B
5.043 4.910 12.733 B
0.454 0.229 0.816 B
4.136 10.049 7.591 B
8.725 5.368 5.959 B
5.746 3.444 13.484 B
1.157 1.695 0.065 B
3.433 8.583 6.840 B
8.022 6.834 6.709 B
6.575 2.555 12.222 B
1.986 2.584 1.328 B
2.603 7.694 8.102 B
7.193 7.723 5.447 B
6.350 3.455 10.680 B
1.760 1.684 2.870 B
2.829 8.594 9.644 B
7.418 6.823 3.905 B
6.721 5.271 10.229 B
2.132 10.146 3.321 B
2.458 0.132 10.095 B
7.047 5.007 3.454 B
8.602 5.509 10.507 B
4.012 9.908 3.042 B
0.577 0.370 9.817 B
5.167 4.769 3.732 B
0.421 5.167 11.958 B
5.011 10.250 1.591 B
8.758 0.028 8.366 B
4.168 5.111 5.184 B
5.029 3.281 11.921 B
0.439 1.858 1.629 B
4.150 8.420 8.403 B
8.739 6.997 5.146 B
5.222 4.768 10.991 B
0.632 0.371 2.559 B
3.957 9.907 9.333 B
8.547 5.510 4.216 B
7.409 6.725 10.939 B
2.820 8.692 2.610 B
1.770 1.586 9.385 B
6.359 3.553 4.165 B
8.953 6.761 11.783 B
4.364 8.656 1.766 B
0.226 1.622 8.541 B
4.815 3.517 5.008 B
7.517 5.797 13.505 H
2.927 9.621 0.045 H
1.662 0.658 6.820 H
6.252 4.482 6.730 H
9.032 4.650 13.063 H
4.443 0.489 0.486 H
0.146 9.789 7.261 H
4.736 5.628 6.289 H
8.885 4.387 11.143 H
4.296 0.752 2.407 H
0.294 9.526 9.181 H
4.883 5.891 4.368 H
7.420 3.203 11.425 H
2.830 1.936 2.124 H
1.759 8.342 8.899 H
6.348 7.075 4.651 H
7.051 3.145 13.339 H
2.462 1.994 0.211 H
2.128 8.284 6.985 H
6.717 7.133 6.564 H
5.977 4.743 0.108 H
1.387 0.396 13.441 H
3.202 9.882 6.666 H
7.792 5.535 6.883 H
0.180 6.185 0.802 H
4.770 9.232 12.747 H
8.999 1.046 5.973 H
4.409 4.093 7.577 H
7.100 7.773 13.375 H
2.511 7.644 0.174 H
2.079 2.634 6.949 H
6.668 2.505 6.601 H
5.112 7.141 11.469 H
0.037 5.463 9.485 H
0.523 8.276 2.081 H
8.656 3.137 4.694 H
4.091 5.340 13.309 H
8.680 10.077 0.240 H
5.088 0.201 7.015 H
0.498 4.938 6.534 H
5.412 2.971 0.974 H
0.823 2.168 12.576 H
3.767 8.110 5.801 H
8.356 7.307 7.748 H
6.878 1.407 12.297 H
2.288 3.732 1.252 H
2.301 6.546 8.027 H
6.891 8.871 5.523 H
6.406 2.735 9.732 H
1.817 2.404 3.817 H
2.772 7.874 10.592 H
7.362 7.543 2.957 H
6.474 5.481 9.073 H
1.884 9.936 4.477 H
2.705 0.342 11.252 H
7.295 4.797 2.298 H
4.098 2.579 4.853 H
8.688 2.560 8.696 H
5.080 7.718 1.921 H
0.491 7.699 11.628 H
6.492 2.587 3.469 H
1.902 2.552 10.081 H
2.687 7.727 3.306 H
7.277 7.691 10.243 H
0.314 5.322 3.507 H
4.903 10.095 10.042 H
8.865 0.183 3.267 H
4.276 4.956 10.282 H
0.538 7.659 4.977 H
5.127 7.758 8.573 H
8.641 2.520 1.798 H
4.051 2.619 11.752 H
3.034 5.469 5.176 H
7.623 9.948 8.374 H
6.145 0.330 1.599 H
1.556 4.809 11.950 H
4.552 4.815 2.710 H
9.142 0.324 10.839 H
4.627 9.954 4.064 H
4.067 2.002 8.856 H

No. 4
PBE-GGA B3H4, optimized geometry; symmetry = Pna2_1, No. 33; DFT total energy = -4.719 eV/atom; V = 14.49 Å³/atom; formation enthalpy at 0 K = -0.020 eV/atom; magnetic moment = 0.000 μB per cell
1.0
10.430 0.000 0.000
0.000 11.899 0.000
0.000 0.000 13.078
B H
48 64
Cartesian
4.275 4.851 4.788 B
6.155 7.048 11.327 B
0.940 10.801 4.788 B
9.490 1.099 11.327 B
3.952 5.975 1.500 B
6.478 5.924 8.039 B
1.263 0.026 1.500 B
9.167 11.874 8.039 B
2.816 4.102 4.346 B
7.614 7.797 10.885 B
2.399 10.052 4.346 B
8.031 1.847 10.885 B
2.753 5.631 5.274 B
7.677 6.268 11.813 B
2.462 11.581 5.274 B
7.968 0.319 11.813 B
4.178 6.568 4.358 B
6.252 5.331 10.897 B
1.037 0.619 4.358 B
9.393 11.281 10.897 B
4.700 5.522 3.018 B
5.730 6.377 9.557 B
0.515 11.472 3.018 B
9.915 0.427 9.557 B
2.204 5.668 1.352 B
8.226 6.231 7.891 B
3.011 11.618 1.352 B
7.419 0.282 7.891 B
1.788 8.528 1.115 B
8.642 3.371 7.654 B
3.427 2.579 1.115 B
7.003 9.321 7.654 B
2.758 7.232 1.741 B
7.672 4.667 8.280 B
2.457 1.282 1.741 B
7.973 10.617 8.280 B
4.193 7.194 2.749 B
6.237 4.705 9.288 B
1.022 1.244 2.749 B
9.408 10.655 9.288 B
3.258 4.590 2.315 B
7.172 7.310 8.854 B
1.957 10.539 2.315 B
8.473 1.360 8.854 B
1.161 6.996 1.720 B
9.269 4.903 8.259 B
4.054 1.046 1.720 B
6.376 10.853 8.259 B
2.272 4.418 3.109 H
8.158 7.481 9.648 H
2.943 10.368 3.109 H
7.487 1.531 9.648 H
1.598 5.651 4.875 H
8.832 6.249 11.414 H
3.617 11.600 4.875 H
6.813 0.299 11.414 H
2.897 6.768 4.572 H
7.533 5.131 11.111 H
2.318 0.819 4.572 H
8.112 11.081 11.111 H
3.023 8.432 0.895 H
7.407 3.467 7.434 H
2.192 2.483 0.895 H
8.238 9.417 7.434 H
4.945 8.100 2.520 H
5.485 3.800 9.059 H
0.270 2.150 2.520 H
10.160 9.749 9.059 H
4.584 5.729 0.516 H
5.846 6.170 7.055 H
0.631 11.679 0.516 H
9.799 0.220 7.055 H
5.062 4.516 5.623 H
5.368 7.384 12.162 H
0.153 10.465 5.623 H
1.499 5.179 0.508 H
10.277 1.434 12.162 H
6.632 8.445 8.603 H
1.417 9.404 2.064 H
9.013 2.495 8.603 H
2.101 3.184 4.601 H
8.329 8.716 11.140 H
3.114 9.133 4.601 H
7.316 2.766 11.140 H
2.780 5.723 6.468 H
7.650 6.176 13.007 H
2.435 11.673 6.468 H
7.995 0.226 13.007 H
4.900 7.121 5.131 H
5.530 4.778 11.670 H
0.315 1.171 5.131 H
10.115 10.728 11.670 H
5.826 5.135 2.882 H
4.604 6.764 9.421 H
9.819 11.085 2.882 H
0.611 0.814 9.421 H
5.206 10.993 8.355 H
5.224 0.906 1.816 H
0.009 5.044 8.355 H
10.421 6.856 1.816 H
6.439 8.326 10.935 H
3.991 3.574 4.396 H
9.206 2.376 10.935 H
1.224 9.523 4.396 H
6.448 8.975 6.654 H
3.982 2.925 0.115 H
9.197 3.025 6.654 H
1.233 8.874 0.115 H
6.714 0.771 7.047 H
3.716 11.128 0.508 H
8.931 6.721 7.047 H
3.798 3.454 2.064 H